No. 1
The following is a DFT calculation (PBE-GGA) of a relaxed structure of YCo5Si3.

Results
For the volume, the calculation gives 690 Å³ per cell.

```
data_YCo5Si3
_chemical_formula_sum 'Y6 Co30 Si18'
_cell_length_a 14.6948
_cell_length_b 14.6948
_cell_length_c 3.6893
_cell_angle_alpha 90.00
_cell_angle_beta 90.00
_cell_angle_gamma 120.00
_space_group_name_H-M_alt 'P 63/m'
_space_group_IT_number 176
_space_group_name_Hall '-P 6c'
loop_
_atom_site_label
_atom_site_type_symbol
_atom_site_fract_x
_atom_site_fract_y
_atom_site_fract_z
Y1 Y 0.0999 0.3931 0.2500
Co1 Co 0.0291 0.1261 0.2500
Co2 Co 0.0481 0.7816 0.2500
Co3 Co 0.0741 0.5406 0.7500
Co4 Co 0.1475 0.7346 0.7500
Co5 Co 0.2260 0.6533 0.2500
Si1 Si 0.0629 0.6310 0.2500
Si2 Si 0.1180 0.2465 0.7500
Si3 Si 0.2386 0.5570 0.7500
```



No. 2
The following is a DFT calculation (PBE-GGA) of a relaxed structure of YCoSi2.

Results
For the volume, the calculation gives 261 Å³ per cell.

```
data_YCoSi2
_chemical_formula_sum 'Y4 Co4 Si8'
_cell_length_a 4.043
_cell_length_b 16.038
_cell_length_c 4.018
_cell_angle_alpha 90.00
_cell_angle_beta 90.00
_cell_angle_gamma 90.00
_space_group_name_H-M_alt 'C m c m'
_space_group_IT_number 63
_space_group_name_Hall '-C 2c 2'
loop_
_atom_site_label
_atom_site_type_symbol
_atom_site_fract_x
_atom_site_fract_y
_atom_site_fract_z
Y1 Y 0.000 0.106 0.250
Co1 Co 0.000 0.319 0.250
Si1 Si 0.000 0.251 0.750
Si2 Si 0.000 0.457 0.250
```



No. 3
The following is a DFT calculation (PBE-GGA) of a relaxed structure of Y2CoSi2.

Results
For the volume, the calculation gives 379 Å³ per cell.

```
data_Y2CoSi2
_chemical_formula_sum 'Y8 Co4 Si8'
_cell_length_a 10.462
_cell_length_b 4.139
_cell_length_c 10.006
_cell_angle_alpha 90.00
_cell_angle_beta 118.95
_cell_angle_gamma 90.00
_space_group_name_H-M_alt 'C 1 2/m 1'
_space_group_IT_number 12
loop_
_space_group_symop_operation_xyz
'x,y,z'
'-x,-y,-z'
'-x,y,-z'
'x,-y,z'
'x+1/2,y+1/2,z'
'-x+1/2,-y+1/2,-z'
'-x+1/2,y+1/2,-z'
'x+1/2,-y+1/2,z'
loop_
_atom_site_label
_atom_site_type_symbol
_atom_site_fract_x
_atom_site_fract_y
_atom_site_fract_z
Y1 Y 0.001 0.000 0.329
Y2 Y 0.187 0.000 0.107
Co1 Co 0.227 0.500 0.376
Si1 Si 0.007 0.500 0.875
Si2 Si 0.151 0.500 0.566
```



No. 4
The following is a DFT calculation (PBE-GGA) of a relaxed structure of YCo9Si2.

Results
For the volume, the calculation gives 582 Å³ per cell.

```
data_YCo9Si2
_chemical_formula_sum 'Y4 Co36 Si8'
_cell_length_a 9.650
_cell_length_b 9.650
_cell_length_c 6.255
_cell_angle_alpha 90.00
_cell_angle_beta 90.00
_cell_angle_gamma 90.00
_space_group_name_H-M_alt 'I 41/a m d'
_space_group_IT_number 141
loop_
_space_group_symop_operation_xyz
'x,y,z'
'-x,-y,-z'
'-y+1/4,x+3/4,z+1/4'
'y+1/4,-x+3/4,-z+1/4'
'-x+1/2,-y,z+1/2'
'x+1/2,y,-z+1/2'
'y+1/4,-x+1/4,z+3/4'
'-y+1/4,x+1/4,-z+3/4'
'x,-y,-z'
'-x,y,z'
'-y+1/4,-x+1/4,-z+3/4'
'y+1/4,x+1/4,z+3/4'
'-x+1/2,y,-z+1/2'
'x+1/2,-y,z+1/2'
'y+1/4,x+3/4,-z+1/4'
'-y+1/4,-x+3/4,z+1/4'
'x+1/2,y+1/2,z+1/2'
'-x+1/2,-y+1/2,-z+1/2'
'-y+3/4,x+1/4,z+3/4'
'y+3/4,-x+1/4,-z+3/4'
'-x,-y+1/2,z'
'x,y+1/2,-z'
'y+3/4,-x+3/4,z+1/4'
'-y+3/4,x+3/4,-z+1/4'
'x+1/2,-y+1/2,-z+1/2'
'-x+1/2,y+1/2,z+1/2'
'-y+3/4,-x+3/4,-z+1/4'
'y+3/4,x+3/4,z+1/4'
'-x,y+1/2,-z'
'x,-y+1/2,z'
'y+3/4,x+1/4,-z+3/4'
'-y+3/4,-x+1/4,z+3/4'
loop_
_atom_site_label
_atom_site_type_symbol
_atom_site_fract_x
_atom_site_fract_y
_atom_site_fract_z
Y1 Y 0.000 0.250 0.375
Co1 Co 0.000 0.250 0.875
Co2 Co 0.124 0.044 0.683
Si1 Si 0.000 0.000 0.000
```



No. 5
The following is a DFT calculation (PBE-GGA) of a relaxed structure of ZrCo2Si2.

Results
For the volume, the calculation gives 136 Å³ per cell.

```
data_ZrCo2Si2
_chemical_formula_sum 'Zr2 Co4 Si4'
_cell_length_a 3.751
_cell_length_b 3.751
_cell_length_c 9.674
_cell_angle_alpha 90.00
_cell_angle_beta 90.00
_cell_angle_gamma 90.00
_space_group_name_H-M_alt 'I 4/m m m'
_space_group_IT_number 139
_space_group_name_Hall '-I 4 2'
loop_
_atom_site_label
_atom_site_type_symbol
_atom_site_fract_x
_atom_site_fract_y
_atom_site_fract_z
Zr1 Zr 0.000 0.000 0.000
Co1 Co 0.000 0.500 0.250
Si1 Si 0.000 0.000 0.378
```



No. 6
The following is a DFT calculation (PBE-GGA) of a relaxed structure of Zr2CoSi2.

Results
For the volume, the calculation gives 323 Å³ per cell.

```
data_Zr2CoSi2
_chemical_formula_sum 'Zr8 Co4 Si8'
_cell_length_a 9.949
_cell_length_b 3.896
_cell_length_c 9.479
_cell_angle_alpha 90.00
_cell_angle_beta 118.57
_cell_angle_gamma 90.00
_space_group_name_H-M_alt 'C 1 2/m 1'
_space_group_IT_number 12
loop_
_space_group_symop_operation_xyz
'x,y,z'
'-x,-y,-z'
'-x,y,-z'
'x,-y,z'
'x+1/2,y+1/2,z'
'-x+1/2,-y+1/2,-z'
'-x+1/2,y+1/2,-z'
'x+1/2,-y+1/2,z'
loop_
_atom_site_label
_atom_site_type_symbol
_atom_site_fract_x
_atom_site_fract_y
_atom_site_fract_z
Zr1 Zr 0.003 0.000 0.176
Zr2 Zr 0.187 0.000 0.602
Co1 Co 0.223 0.500 0.873
Si1 Si 0.013 0.500 0.376
Si2 Si 0.144 0.500 0.069
```



No. 7
The following is a DFT calculation (PBE-GGA) of a relaxed structure of ZrCo5Si3.

Results
For the volume, the calculation gives 667 Å³ per cell.

```
data_ZrCo5Si3
_chemical_formula_sum 'Zr6 Co30 Si18'
_cell_length_a 14.5466
_cell_length_b 14.5466
_cell_length_c 3.6420
_cell_angle_alpha 90.00
_cell_angle_beta 90.00
_cell_angle_gamma 120.00
_space_group_name_H-M_alt 'P 63/m'
_space_group_IT_number 176
_space_group_name_Hall '-P 6c'
loop_
_atom_site_label
_atom_site_type_symbol
_atom_site_fract_x
_atom_site_fract_y
_atom_site_fract_z
Zr1 Zr 0.1004 0.3949 0.2500
Co1 Co 0.0275 0.1322 0.2500
Co2 Co 0.0478 0.7795 0.2500
Co3 Co 0.0745 0.5398 0.7500
Co4 Co 0.1488 0.7351 0.7500
Co5 Co 0.2238 0.6523 0.2500
Si1 Si 0.0588 0.6297 0.2500
Si2 Si 0.1179 0.2517 0.7500
Si3 Si 0.2375 0.5551 0.7500
```



No. 8
The following is a DFT calculation (PBE-GGA) of a relaxed structure of Sm2Co17.

Results
For the volume, the calculation gives 740 Å³ per cell.

```
data_Sm2Co17
_chemical_formula_sum 'Sm6 Co51'
_cell_length_a 8.3681
_cell_length_b 8.3681
_cell_length_c 12.2062
_cell_angle_alpha 90.00
_cell_angle_beta 90.00
_cell_angle_gamma 120.00
_space_group_name_H-M_alt 'R -3 m'
_space_group_IT_number 166
_space_group_name_Hall '-R 3 2"'
loop_
_atom_site_label
_atom_site_type_symbol
_atom_site_fract_x
_atom_site_fract_y
_atom_site_fract_z
Sm1 Sm 0.0000 0.0000 0.1560
Co1 Co 0.0000 0.0000 0.4039
Co2 Co 0.0000 0.2863 0.5000
Co3 Co 0.0000 0.5000 0.0000
Co4 Co 0.0043 0.5021 0.3461
```



No. 9
The following is a DFT calculation (PBE-GGA) of a relaxed structure of Sm5Co19.

Results
For the volume, the calculation gives 1035 Å³ per cell.

```
data_Sm5Co19
_chemical_formula_sum 'Sm15 Co57'
_cell_length_a 4.9736
_cell_length_b 4.9736
_cell_length_c 48.3329
_cell_angle_alpha 90.00
_cell_angle_beta 90.00
_cell_angle_gamma 120.00
_space_group_name_H-M_alt 'R -3 m'
_space_group_IT_number 166
_space_group_name_Hall '-R 3 2"'
loop_
_atom_site_label
_atom_site_type_symbol
_atom_site_fract_x
_atom_site_fract_y
_atom_site_fract_z
Sm1 Sm 0.0000 0.0000 0.0000
Sm2 Sm 0.0000 0.0000 0.0794
Sm3 Sm 0.0000 0.0000 0.1528
Co1 Co 0.0000 0.0000 0.2511
Co2 Co 0.0000 0.0000 0.3334
Co3 Co 0.0000 0.0000 0.4156
Co4 Co 0.0000 0.0000 0.5000
Co5 Co 0.0009 0.5004 0.0408
Co6 Co 0.0019 0.5010 0.1225
```



No. 10
The following is a DFT calculation (PBE-GGA) of a relaxed structure of Sm2Co7.

Results
For the volume, the calculation gives 530 Å³ per cell.

```
data_Sm2Co7
_chemical_formula_sum 'Sm8 Co28'
_cell_length_a 5.0171
_cell_length_b 5.0171
_cell_length_c 24.2939
_cell_angle_alpha 90.00
_cell_angle_beta 90.00
_cell_angle_gamma 120.00
_space_group_name_H-M_alt 'P 63/m m c'
_space_group_IT_number 194
_space_group_name_Hall '-P 6c 2c'
loop_
_atom_site_label
_atom_site_type_symbol
_atom_site_fract_x
_atom_site_fract_y
_atom_site_fract_z
Sm1 Sm 0.3333 0.6667 0.0279
Sm2 Sm 0.3333 0.6667 0.1730
Co1 Co 0.0000 0.0000 0.0000
Co2 Co 0.0000 0.0000 0.1681
Co3 Co 0.1659 0.3317 0.5878
Co4 Co 0.1661 0.3322 0.7500
Co5 Co 0.3333 0.6667 0.6685
```



No. 11
The following is a DFT calculation (PBE-GGA) of a relaxed structure of Sm2Co17.

Results
For the volume, the calculation gives 485 Å³ per cell.

```
data_Sm2Co17
_chemical_formula_sum 'Sm4 Co34'
_cell_length_a 8.3279
_cell_length_b 8.3279
_cell_length_c 8.0765
_cell_angle_alpha 90.00
_cell_angle_beta 90.00
_cell_angle_gamma 120.00
_space_group_name_H-M_alt 'P 63/m m c'
_space_group_IT_number 194
_space_group_name_Hall '-P 6c 2c'
loop_
_atom_site_label
_atom_site_type_symbol
_atom_site_fract_x
_atom_site_fract_y
_atom_site_fract_z
Sm1 Sm 0.0000 0.0000 0.2500
Sm2 Sm 0.3333 0.6667 0.2500
Co1 Co 0.0000 0.5000 0.0000
Co2 Co 0.0509 0.3803 0.7500
Co3 Co 0.1673 0.3345 0.0211
Co4 Co 0.3333 0.6667 0.6072
```



No. 12
The following is a DFT calculation (PBE-GGA) of a relaxed structure of Sm2Co7.

Results
For the volume, the calculation gives 782 Å³ per cell.

```
data_Sm2Co7
_chemical_formula_sum 'Sm12 Co42'
_cell_length_a 4.9893
_cell_length_b 4.9893
_cell_length_c 36.2558
_cell_angle_alpha 90.00
_cell_angle_beta 90.00
_cell_angle_gamma 120.00
_space_group_name_H-M_alt 'R -3 m'
_space_group_IT_number 166
_space_group_name_Hall '-R 3 2"'
loop_
_atom_site_label
_atom_site_type_symbol
_atom_site_fract_x
_atom_site_fract_y
_atom_site_fract_z
Sm1 Sm 0.0000 0.0000 0.0513
Sm2 Sm 0.0000 0.0000 0.1481
Co1 Co 0.0000 0.0000 0.2786
Co2 Co 0.0000 0.0000 0.3881
Co3 Co 0.0000 0.0000 0.5000
Co4 Co 0.0000 0.5000 0.0000
Co5 Co 0.0016 0.5008 0.1084
```



no.,formation energy from the elements (eV per formula unit),uncorrected energy (eV per atom),mass density (g/cm³)
1,-5.313,-7.09,6.76
2,-3.005,-6.89,5.20
3,-3.730,-6.95,5.13
4,-3.650,-7.09,7.70
5,-3.902,-7.53,6.47
6,-4.334,-7.91,6.13
7,-5.432,-7.33,7.02
8,-1.306,-6.93,8.77
9,-2.197,-6.70,9.00
10,-0.763,-6.66,8.95
11,-1.252,-6.92,8.92
12,-0.399,-6.62,9.09